Record 1
DFT (PBE) results for an optimized crystal structure of NpAs.

Properties
Crystal system: cubic
ΔE to the lowest computed polymorph in meV/atom: 147

Geometry as POSCAR:
```
NpAs
1.0
-0.088 2.166 2.750
0.090 -2.749 2.168
3.500 0.125 0.013
Np As
1 1
direct
0.500 0.500 0.500
0.000 0.000 0.000
```

***

Record 2
DFT (PBE) results for an optimized crystal structure of NpAs3.

Properties
Crystal system: tetragonal

Geometry as POSCAR:
```
NpAs3
1.0
-2.020 2.020 4.861
2.020 -2.020 4.861
2.020 2.020 -4.861
Np As
1 3
direct
0.000 0.000 0.000
0.750 0.250 0.500
0.250 0.750 0.500
0.500 0.500 0.000
```

***

Number 1: ΔH_f (0 K) -547 meV per atom. Number 2: ΔH_f (0 K) -333 meV per atom.